[1]
DFT (PBE) results for a relaxed Zn3TeP2Pb3O14 crystal.

a b c (Å): 5.266 25.549 14.807
angles (deg): 90.00 90.08 90.00
Space group P2 (No. 3)
One atom of each set of equivalent atoms:
Zn 0.000 0.000 0.000 [1 per cell]
Zn 0.000 0.162 0.500 [1 per cell]
Zn 0.000 0.324 0.000 [1 per cell]
Zn 0.000 0.495 0.500 [1 per cell]
Zn 0.000 0.660 0.000 [1 per cell]
Zn 0.000 0.824 0.500 [1 per cell]
Zn 0.001 0.371 0.625 [2 per cell]
Zn 0.002 0.534 0.125 [2 per cell]
Zn 0.002 0.873 0.875 [2 per cell]
Zn 0.008 0.200 0.129 [2 per cell]
Zn 0.008 0.701 0.629 [2 per cell]
Zn 0.010 0.034 0.378 [2 per cell]
Te 0.500 0.080 0.500 [1 per cell]
Te 0.500 0.238 0.000 [1 per cell]
Te 0.500 0.414 0.500 [1 per cell]
Te 0.500 0.576 0.000 [1 per cell]
Te 0.500 0.741 0.500 [1 per cell]
Te 0.500 0.918 0.000 [1 per cell]
P 0.000 0.077 0.173 [2 per cell]
P 0.045 0.746 0.836 [2 per cell]
P 0.046 0.247 0.334 [2 per cell]
P 0.046 0.409 0.835 [2 per cell]
P 0.046 0.909 0.336 [2 per cell]
P 0.047 0.576 0.330 [2 per cell]
Pb 0.488 0.151 0.298 [2 per cell]
Pb 0.493 0.809 0.299 [2 per cell]
Pb 0.495 0.644 0.800 [2 per cell]
Pb 0.497 0.979 0.211 [2 per cell]
Pb 0.499 0.310 0.801 [2 per cell]
Pb 0.499 0.478 0.705 [2 per cell]
Pb 0.500 0.100 0.000 [1 per cell]
Pb 0.500 0.280 0.500 [1 per cell]
Pb 0.500 0.440 0.000 [1 per cell]
Pb 0.500 0.607 0.500 [1 per cell]
Pb 0.500 0.782 0.000 [1 per cell]
Pb 0.500 0.944 0.500 [1 per cell]
O 0.093 0.039 0.751 [2 per cell]
O 0.101 0.134 0.807 [2 per cell]
O 0.128 0.057 0.916 [2 per cell]
O 0.152 0.863 0.396 [2 per cell]
O 0.154 0.800 0.867 [2 per cell]
O 0.156 0.204 0.399 [2 per cell]
O 0.156 0.631 0.361 [2 per cell]
O 0.158 0.366 0.900 [2 per cell]
O 0.159 0.300 0.367 [2 per cell]
O 0.160 0.463 0.866 [2 per cell]
O 0.160 0.535 0.397 [2 per cell]
O 0.160 0.734 0.740 [2 per cell]
O 0.161 0.704 0.902 [2 per cell]
O 0.162 0.398 0.739 [2 per cell]
O 0.163 0.901 0.239 [2 per cell]
O 0.163 0.961 0.375 [2 per cell]
O 0.166 0.237 0.238 [2 per cell]
O 0.169 0.564 0.235 [2 per cell]
O 0.245 0.575 0.673 [2 per cell]
O 0.246 0.247 0.669 [2 per cell]
O 0.246 0.409 0.166 [2 per cell]
O 0.246 0.910 0.667 [2 per cell]
O 0.247 0.745 0.164 [2 per cell]
O 0.279 0.085 0.395 [2 per cell]
O 0.279 0.923 0.893 [2 per cell]
O 0.281 0.182 0.045 [2 per cell]
O 0.281 0.582 0.894 [2 per cell]
O 0.286 0.419 0.393 [2 per cell]
O 0.286 0.746 0.393 [2 per cell]
O 0.289 0.291 0.060 [2 per cell]
O 0.289 0.627 0.062 [2 per cell]
O 0.289 0.792 0.562 [2 per cell]
O 0.290 0.357 0.546 [2 per cell]
O 0.291 0.465 0.563 [2 per cell]
O 0.292 0.132 0.564 [2 per cell]
O 0.292 0.969 0.063 [2 per cell]
O 0.293 0.077 0.166 [2 per cell]
O 0.293 0.684 0.549 [2 per cell]
O 0.294 0.519 0.048 [2 per cell]
O 0.294 0.860 0.048 [2 per cell]
O 0.295 0.243 0.890 [2 per cell]
O 0.296 0.023 0.549 [2 per cell]

Properties
ΔH_f (0 K) ... -48.0 eV/f.u.
Magnetization ... 0.0 μB per cell
Total DFT energy (no corrections) ... -5.937 eV per atom

[2]
DFT (PBE) results for a relaxed Zn3Te2P2Pb2O14 crystal.

a b c (Å): 5.352 8.067 15.461
angles (deg): 90.00 90.06 90.00
Space group P2_1/c (No. 14)
One atom of each set of equivalent atoms:
Zn 0.000 0.000 0.000 [2 per cell]
Zn 0.009 0.110 0.615 [4 per cell]
Te 0.484 0.222 0.488 [4 per cell]
P 0.036 0.238 0.808 [4 per cell]
Pb 0.497 0.060 0.198 [4 per cell]
O 0.095 0.099 0.874 [4 per cell]
O 0.149 0.094 0.340 [4 per cell]
O 0.185 0.197 0.722 [4 per cell]
O 0.248 0.748 0.711 [4 per cell]
O 0.252 0.740 0.429 [4 per cell]
O 0.292 0.110 0.050 [4 per cell]
O 0.294 0.047 0.540 [4 per cell]

Properties
ΔH_f (0 K) ... -47.1 eV/f.u.
Magnetization ... 0.0 μB per cell
Total DFT energy (no corrections) ... -5.873 eV per atom

[3]
DFT (PBE) results for a relaxed Zn3TeP2Pb3O14 crystal.

a b c (Å): 8.5337 8.5337 5.2643
angles (deg): 90.00 90.00 120.00
Space group P321 (No. 150)
One atom of each set of equivalent atoms:
Zn 0.0000 0.7505 0.0000 [3 per cell]
Te 0.0000 0.0000 0.5000 [1 per cell]
P 0.3333 0.6667 0.9589 [2 per cell]
Pb 0.0000 0.4058 0.5000 [3 per cell]
O 0.0922 0.2168 0.2890 [6 per cell]
O 0.2024 0.7274 0.8438 [6 per cell]
O 0.3333 0.6667 0.2508 [2 per cell]

Properties
ΔH_f (0 K) ... -48.0 eV/f.u.
Magnetization ... 0.0 μB per cell
Total DFT energy (no corrections) ... -5.937 eV per atom

ΔH_f (0 K) of number 2 (Zn3Te2P2Pb2O14)? -47.1 eV/f.u.

What is the total DFT energy (no corrections) in the third record? -5.937 eV per atom